1.
Compound: HoAl10Fe2
Source: the Materials Project
Functional: PBE
Structure: optimized geometry

Cell: 6.753 6.753 8.963 Å, 90.00 90.00 97.22°
Sites, in units of the cell vectors:
Ho (0.125, 0.875, 0.750)
Ho (0.875, 0.125, 0.250)
Al (0.134, 0.415, 0.750)
Al (0.157, 0.843, 0.097)
Al (0.157, 0.843, 0.403)
Al (0.221, 0.477, 0.250)
Al (0.227, 0.227, 0.000)
Al (0.227, 0.227, 0.500)
Al (0.374, 0.626, 0.548)
Al (0.374, 0.626, 0.952)
Al (0.415, 0.134, 0.250)
Al (0.477, 0.221, 0.750)
Al (0.523, 0.779, 0.250)
Al (0.585, 0.866, 0.750)
Al (0.626, 0.374, 0.048)
Al (0.626, 0.374, 0.452)
Al (0.773, 0.773, 0.000)
Al (0.773, 0.773, 0.500)
Al (0.779, 0.523, 0.750)
Al (0.843, 0.157, 0.597)
Al (0.843, 0.157, 0.903)
Al (0.866, 0.585, 0.250)
Fe (0.000, 0.500, 0.000)
Fe (0.000, 0.500, 0.500)
Fe (0.500, 0.000, 0.000)
Fe (0.500, 0.000, 0.500)

Summary:
- Energy relative to the elements: -0.3541 eV per atom

2.
Compound: SmPt2
Source: the Materials Project
Functional: PBE
Structure: optimized geometry

Cell: 5.492 5.492 5.492 Å, 60.00 60.00 60.00°
Sites, in units of the cell vectors:
Sm (0.125, 0.125, 0.125)
Sm (0.875, 0.875, 0.875)
Pt (0.000, 0.500, 0.500)
Pt (0.500, 0.000, 0.500)
Pt (0.500, 0.500, 0.000)
Pt (0.500, 0.500, 0.500)

Summary:
- Energy relative to the elements: -1.0666 eV per atom

3.
Compound: NaLa2Sc2PS5O24
Source: the Materials Project
Functional: PBE
Structure: optimized geometry

Cell: 9.051 9.052 24.298 Å, 89.93 89.86 60.20°
Sites, in units of the cell vectors:
Na (0.000, 0.000, 0.000)
Na (0.027, 0.000, 0.502)
Na (0.348, 0.348, 0.845)
La (0.006, 0.997, 0.862)
La (0.024, 0.997, 0.646)
La (0.349, 0.324, 0.679)
La (0.349, 0.342, 0.992)
La (0.691, 0.656, 0.034)
La (0.691, 0.657, 0.822)
Sc (0.014, 0.999, 0.165)
Sc (0.016, 0.998, 0.355)
Sc (0.348, 0.324, 0.481)
Sc (0.350, 0.331, 0.198)
Sc (0.676, 0.672, 0.517)
Sc (0.682, 0.665, 0.321)
P (0.355, 0.031, 0.575)
P (0.681, 0.359, 0.926)
P (0.990, 0.662, 0.926)
S (0.013, 0.711, 0.259)
S (0.027, 0.297, 0.754)
S (0.047, 0.623, 0.575)
S (0.071, 0.306, 0.101)
S (0.306, 0.995, 0.259)
S (0.317, 0.687, 0.754)
S (0.326, 0.639, 0.102)
S (0.380, 0.970, 0.926)
S (0.391, 0.671, 0.419)
S (0.640, 0.342, 0.575)
S (0.652, 0.050, 0.101)
S (0.691, 0.949, 0.419)
S (0.704, 0.007, 0.752)
S (0.729, 0.288, 0.259)
S (0.966, 0.374, 0.420)
O (0.017, 0.818, 0.933)
O (0.028, 0.796, 0.575)
O (0.032, 0.204, 0.805)
O (0.035, 0.197, 0.704)
O (0.049, 0.156, 0.111)
O (0.054, 0.789, 0.307)
O (0.109, 0.542, 0.629)
O (0.135, 0.357, 0.429)
O (0.161, 0.276, 0.048)
O (0.164, 0.542, 0.248)
O (0.165, 0.498, 0.922)
O (0.169, 0.523, 0.531)
O (0.172, 0.322, 0.146)
O (0.175, 0.809, 0.112)
O (0.179, 0.319, 0.755)
O (0.188, 0.036, 0.307)
O (0.192, 0.015, 0.575)
O (0.209, 0.986, 0.931)
O (0.217, 0.781, 0.704)
O (0.218, 0.826, 0.410)
O (0.221, 0.775, 0.805)
O (0.233, 0.954, 0.211)
O (0.292, 0.582, 0.049)
O (0.325, 0.146, 0.248)
O (0.336, 0.159, 0.529)
O (0.337, 0.514, 0.754)
O (0.344, 0.519, 0.147)
O (0.362, 0.142, 0.924)
O (0.373, 0.520, 0.429)
O (0.374, 0.096, 0.632)
O (0.461, 0.882, 0.874)
O (0.465, 0.710, 0.468)
O (0.474, 0.845, 0.272)
O (0.481, 0.652, 0.099)
O (0.482, 0.877, 0.975)
O (0.483, 0.678, 0.752)
O (0.502, 0.641, 0.370)
O (0.514, 0.858, 0.564)
O (0.527, 0.330, 0.922)
O (0.532, 0.162, 0.753)
O (0.536, 0.151, 0.146)
O (0.537, 0.324, 0.531)
O (0.539, 0.118, 0.429)
O (0.557, 0.365, 0.629)
O (0.560, 0.306, 0.248)
O (0.593, 0.142, 0.048)
O (0.659, 0.492, 0.565)
O (0.660, 0.868, 0.371)
O (0.661, 0.468, 0.978)
O (0.663, 0.883, 0.098)
O (0.688, 0.445, 0.872)
O (0.690, 0.853, 0.751)
O (0.711, 0.456, 0.272)
O (0.730, 0.836, 0.468)
O (0.791, 0.015, 0.803)
O (0.799, 0.012, 0.703)
O (0.807, 0.169, 0.307)
O (0.810, 0.184, 0.575)
O (0.825, 0.029, 0.110)
O (0.843, 0.216, 0.211)
O (0.844, 0.969, 0.410)
O (0.846, 0.186, 0.932)
O (0.854, 0.448, 0.468)
O (0.863, 0.692, 0.272)
O (0.871, 0.463, 0.751)
O (0.881, 0.634, 0.565)
O (0.886, 0.484, 0.371)
O (0.893, 0.653, 0.977)
O (0.895, 0.681, 0.872)
O (0.903, 0.462, 0.099)
O (0.970, 0.826, 0.211)
O (0.986, 0.200, 0.410)

Summary:
- Energy relative to the elements: -2.6899 eV per atom

4.
Compound: Sr5CaAl2O8F2
Source: the Materials Project
Functional: PBE
Structure: optimized geometry

Cell: 7.352 6.773 7.390 Å, 62.36 54.70 62.94°
Sites, in units of the cell vectors:
Sr (0.000, 0.000, 0.000)
Sr (0.413, 0.413, 0.087)
Sr (0.496, 0.833, 0.504)
Sr (0.833, 0.496, 0.167)
Sr (0.913, 0.913, 0.587)
Ca (0.339, 0.339, 0.661)
Al (0.414, 0.914, 0.086)
Al (0.914, 0.414, 0.586)
O (0.161, 0.172, 0.545)
O (0.172, 0.161, 0.122)
O (0.372, 0.664, 0.336)
O (0.455, 0.878, 0.839)
O (0.660, 0.955, 0.045)
O (0.664, 0.372, 0.628)
O (0.878, 0.455, 0.828)
O (0.955, 0.660, 0.340)
F (0.169, 0.658, 0.831)
F (0.658, 0.169, 0.342)

Summary:
- Energy relative to the elements: -3.4323 eV per atom

5.
Compound: TmBiTe3
Source: the Materials Project
Functional: PBE
Structure: optimized geometry

Cell: 10.971 10.971 10.971 Å, 23.05 23.05 23.05°
Sites, in units of the cell vectors:
Tm (0.000, 0.000, 0.000)
Bi (0.205, 0.205, 0.205)
Te (0.383, 0.383, 0.383)
Te (0.607, 0.607, 0.607)
Te (0.818, 0.818, 0.818)

Summary:
- Energy relative to the elements: -1.0325 eV per atom

6.
Compound: Cr5Si3B
Source: the Materials Project
Functional: PBE
Structure: optimized geometry

Cell: 7.020 7.020 4.707 Å, 90.00 90.00 120.00°
Sites, in units of the cell vectors:
Cr (0.000, 0.246, 0.250)
Cr (0.000, 0.754, 0.750)
Cr (0.246, 0.000, 0.250)
Cr (0.246, 0.246, 0.750)
Cr (0.333, 0.667, 0.000)
Cr (0.333, 0.667, 0.500)
Cr (0.667, 0.333, 0.000)
Cr (0.667, 0.333, 0.500)
Cr (0.754, 0.000, 0.750)
Cr (0.754, 0.754, 0.250)
Si (0.000, 0.401, 0.750)
Si (0.000, 0.599, 0.250)
Si (0.401, 0.000, 0.750)
Si (0.401, 0.401, 0.250)
Si (0.599, 0.000, 0.250)
Si (0.599, 0.599, 0.750)
B (0.000, 0.000, 0.000)
B (0.000, 0.000, 0.500)

Summary:
- Energy relative to the elements: -0.3343 eV per atom

| no. | calculated total energy (eV/atom) |
| --- | --- |
| 1 | -4.891 |
| 2 | -6.687 |
| 3 | -7.039 |
| 4 | -6.484 |
| 5 | -4.338 |
| 6 | -8.248 |